(1)
Crystalline In3SnI5 at its relaxed geometry, computed with meta-GGA r2SCAN.

Output
E_form	-0.53	eV/atom
SG	No. 14

```
In3SnI5
1.0
-7.755 -4.445 -1.071
3.301 -3.997 -7.313
7.191 -14.370 7.565
In Sn I
12 4 20
Cartesian
-2.523 -9.755 -3.497
2.198 -16.295 0.441
-2.540 -6.697 0.437
3.937 -7.637 -4.727
0.538 -6.517 -1.260
3.520 -17.347 5.160
-0.784 -5.465 -5.979
-1.201 -15.175 3.908
5.971 -10.839 -1.760
5.276 -16.115 -1.256
5.259 -13.057 2.678
-3.235 -11.973 0.941
1.038 -12.001 1.701
8.608 -16.096 1.721
1.698 -10.811 -2.520
-5.872 -6.716 -2.540
3.470 -12.813 -0.319
1.811 -4.519 -3.835
2.120 -14.321 3.328
-2.781 -6.171 -3.251
4.816 -13.818 6.463
-0.898 -3.373 -0.393
-2.080 -8.994 -7.283
0.623 -6.975 2.598
-4.756 -9.016 -0.908
-0.366 -12.486 -4.265
0.925 -18.293 3.015
5.517 -16.641 2.432
3.634 -19.439 -0.426
2.113 -15.837 -3.417
0.616 -8.491 -4.147
7.492 -13.796 0.089
-0.734 -9.998 -0.500
3.102 -10.326 3.445
3.512 -8.544 -1.131
-0.776 -14.267 0.312
```

(2)
Crystalline LuInAg2 at its relaxed geometry, computed with meta-GGA r2SCAN.

Output
E_form	-0.37	eV/atom
SG	No. 225

```
LuInAg2
1.0
0.000 3.428 3.428
3.428 0.000 3.428
3.428 3.428 0.000
Lu In Ag
1 1 2
Cartesian
5.143 5.143 5.143
1.714 1.714 1.714
3.428 3.428 3.428
0.000 0.000 0.000
```

(3)
Crystalline Pm2CuAu at its relaxed geometry, computed with meta-GGA r2SCAN.

Output
E_form	-0.51	eV/atom
SG	No. 225

```
Pm2CuAu
1.0
3.671 -3.526 0.502
-0.861 -4.211 2.773
-0.476 -4.536 -2.317
Pm Cu Au
2 1 1
Cartesian
0.584 -3.068 0.240
1.751 -9.205 0.719
0.000 0.000 0.000
1.167 -6.136 0.480
```

Volume / A^3/atom: 39.29 20.15 23.66